The following is a PBE-GGA calculation of an optimized crystal structure of Si2B2H37C12N5, from the Materials Project.

Calculated values
Formation enthalpy at 0 K (eV per atom): -0.288
Energy with MP2020 corrections (eV for the cell shown): -1275.39
Total moment (μB/atom): 0.000
Calculated total energy (eV per atom): -5.466

CIF file:
```
data_Si2B2H37C12N5
_symmetry_space_group_name_H-M 'P 1 21/c 1'
_symmetry_Int_Tables_number 14
_symmetry_space_group_name_Hall '-P 2ybc'
_cell_length_a 16.769
_cell_length_b 12.465
_cell_length_c 12.963
_cell_angle_alpha 90.00
_cell_angle_beta 102.88
_cell_angle_gamma 90.00
loop_
_atom_site_label
_atom_site_fract_x
_atom_site_fract_y
_atom_site_fract_z
Si1 0.121 0.023 0.286
Si2 0.315 0.216 0.837
B1 0.235 0.640 0.779
B2 0.290 0.051 0.298
H1 0.012 0.058 0.714
H2 0.022 0.152 0.181
H3 0.034 0.631 0.697
H4 0.052 0.083 0.425
H5 0.066 0.652 0.836
H6 0.077 0.083 0.098
H7 0.087 0.675 0.565
H8 0.102 0.669 0.178
H9 0.124 0.191 0.180
H10 0.131 0.175 0.420
H11 0.154 0.048 0.485
H12 0.168 0.578 0.584
H13 0.173 0.141 0.828
H14 0.180 0.707 0.528
H15 0.188 0.657 0.287
H16 0.199 0.629 0.156
H17 0.233 0.143 0.960
H18 0.249 0.147 0.405
H19 0.250 0.043 0.871
H20 0.260 0.210 0.640
H21 0.286 0.574 0.977
H22 0.302 0.571 0.631
H23 0.323 0.685 0.267
H24 0.328 0.699 0.029
H25 0.330 0.104 0.685
H26 0.330 0.648 0.402
H27 0.366 0.235 0.669
H28 0.388 0.608 0.973
H29 0.395 0.625 0.706
H30 0.397 0.517 0.616
H31 0.406 0.730 0.367
H32 0.417 0.187 0.006
H33 0.422 0.084 0.914
H34 0.440 0.117 0.374
H35 0.466 0.121 0.247
H36 0.470 0.209 0.903
H37 0.486 0.004 0.326
C1 0.046 0.591 0.774
C2 0.083 0.121 0.176
C3 0.116 0.089 0.416
C4 0.155 0.664 0.588
C5 0.169 0.683 0.204
C6 0.235 0.129 0.877
C7 0.318 0.190 0.695
C8 0.325 0.640 0.965
C9 0.340 0.713 0.349
C10 0.364 0.550 0.674
C11 0.416 0.171 0.923
C12 0.442 0.070 0.303
N1 0.189 0.705 0.694
N2 0.221 0.523 0.783
N3 0.289 0.151 0.356
N4 0.294 0.690 0.863
N5 0.361 0.027 0.256
```

***

The following is a PBE-GGA calculation of an optimized crystal structure of NaB9H10C, from the Materials Project.

Calculated values
Formation enthalpy at 0 K (eV per atom): -0.201
Total moment (μB/atom): 0.000
Calculated total energy (eV per atom): -5.182

CIF file:
```
data_NaB9H10C
_symmetry_space_group_name_H-M 'P n a 21'
_symmetry_Int_Tables_number 33
_symmetry_space_group_name_Hall 'P 2c -2n'
_cell_length_a 10.332
_cell_length_b 10.710
_cell_length_c 7.936
_cell_angle_alpha 90.00
_cell_angle_beta 90.00
_cell_angle_gamma 90.00
loop_
_atom_site_label
_atom_site_fract_x
_atom_site_fract_y
_atom_site_fract_z
Na1 0.138 0.165 0.000
B1 0.095 0.011 0.471
B2 0.153 0.589 0.876
B3 0.160 0.572 0.108
B4 0.167 0.437 0.972
B5 0.172 0.125 0.606
B6 0.178 0.142 0.376
B7 0.181 0.877 0.457
B8 0.210 0.963 0.635
B9 0.219 0.987 0.309
H1 0.021 0.985 0.964
H2 0.065 0.617 0.786
H3 0.071 0.372 0.968
H4 0.077 0.586 0.211
H5 0.111 0.186 0.704
H6 0.124 0.217 0.289
H7 0.145 0.771 0.441
H8 0.181 0.786 0.019
H9 0.193 0.916 0.770
H10 0.211 0.961 0.161
C1 0.212 0.690 0.004
```

***

Question: What is the formula in the second record?
Answer: NaB9H10C